# Ba2CeSnO6, optimized geometry, DFT GGA-PBE
data_Ba2CeSnO6
_space_group_name_H-M_alt 'P 1'
_space_group_IT_number 1
_space_group_name_Hall 'P 1'
_cell_length_a 6.1228
_cell_length_b 6.1228
_cell_length_c 6.1228
_cell_angle_alpha 60.00
_cell_angle_beta 60.00
_cell_angle_gamma 60.00
loop_
_atom_site_label
_atom_site_type_symbol
_atom_site_fract_x
_atom_site_fract_y
_atom_site_fract_z
_atom_site_occupancy
Ba1 Ba 0.2500 0.2500 0.2500 1
Ba2 Ba 0.7500 0.7500 0.7500 1
Ce1 Ce 0.0000 0.0000 0.0000 1
Sn1 Sn 0.5000 0.5000 0.5000 1
O1 O 0.7421 0.2579 0.2579 1
O2 O 0.2579 0.7421 0.7421 1
O3 O 0.7421 0.2579 0.7421 1
O4 O 0.2579 0.7421 0.2579 1
O5 O 0.7421 0.7421 0.2579 1
O6 O 0.2579 0.2579 0.7421 1
# * formation energy from the elements: -3.1161 eV per atom
# * V: 162 Å³/cell
# * SG: No. 225

***

# SeBr2, optimized geometry, DFT GGA-PBE
data_SeBr2
_space_group_name_H-M_alt 'P 1'
_space_group_IT_number 1
_space_group_name_Hall 'P 1'
_cell_length_a 8.1837
_cell_length_b 8.1837
_cell_length_c 3.6725
_cell_angle_alpha 90.00
_cell_angle_beta 90.00
_cell_angle_gamma 90.00
loop_
_atom_site_label
_atom_site_type_symbol
_atom_site_fract_x
_atom_site_fract_y
_atom_site_fract_z
_atom_site_occupancy
Se1 Se 0.0000 0.0000 0.0000 1
Se2 Se 0.5000 0.5000 0.5000 1
Br1 Br 0.3380 0.3380 0.0000 1
Br2 Br 0.6620 0.6620 0.0000 1
Br3 Br 0.1620 0.8380 0.5000 1
Br4 Br 0.8380 0.1620 0.5000 1
# * formation energy from the elements: -0.3910 eV per atom
# * V: 246 Å³/cell
# * SG: No. 136

***

# MgBe2B, optimized geometry, DFT GGA-PBE
data_MgBe2B
_space_group_name_H-M_alt 'P 1'
_space_group_IT_number 1
_space_group_name_Hall 'P 1'
_cell_length_a 3.8578
_cell_length_b 3.8578
_cell_length_c 3.8578
_cell_angle_alpha 60.00
_cell_angle_beta 60.00
_cell_angle_gamma 60.00
loop_
_atom_site_label
_atom_site_type_symbol
_atom_site_fract_x
_atom_site_fract_y
_atom_site_fract_z
_atom_site_occupancy
Mg1 Mg 0.7500 0.7500 0.7500 1
Be1 Be 0.0000 0.0000 0.0000 1
Be2 Be 0.2500 0.2500 0.2500 1
B1 B 0.5000 0.5000 0.5000 1
# * formation energy from the elements: 0.6865 eV per atom
# * V: 41 Å³/cell
# * SG: No. 216

***

# CeAl3Pd2, optimized geometry, DFT GGA-PBE
data_CeAl3Pd2
_space_group_name_H-M_alt 'P 1'
_space_group_IT_number 1
_space_group_name_Hall 'P 1'
_cell_length_a 4.2570
_cell_length_b 5.4459
_cell_length_c 5.4459
_cell_angle_alpha 120.00
_cell_angle_beta 90.00
_cell_angle_gamma 90.00
loop_
_atom_site_label
_atom_site_type_symbol
_atom_site_fract_x
_atom_site_fract_y
_atom_site_fract_z
_atom_site_occupancy
Ce1 Ce 0.0000 0.0000 0.0000 1
Al1 Al 0.5000 0.0000 0.5000 1
Al2 Al 0.5000 0.5000 0.5000 1
Al3 Al 0.5000 0.5000 0.0000 1
Pd1 Pd 0.0000 0.6667 0.3333 1
Pd2 Pd 0.0000 0.3333 0.6667 1
# * formation energy from the elements: -0.8207 eV per atom
# * V: 109 Å³/cell
# * SG: No. 191

***

# TeMoWSeS2, optimized geometry, DFT GGA-PBE
data_TeMoWSeS2
_space_group_name_H-M_alt 'P 1'
_space_group_IT_number 1
_space_group_name_Hall 'P 1'
_cell_length_a 3.3060
_cell_length_b 3.3060
_cell_length_c 37.6579
_cell_angle_alpha 90.00
_cell_angle_beta 90.00
_cell_angle_gamma 120.00
loop_
_atom_site_label
_atom_site_type_symbol
_atom_site_fract_x
_atom_site_fract_y
_atom_site_fract_z
_atom_site_occupancy
Te1 Te 0.3333 0.6667 0.3326 1
Te2 Te 0.3333 0.6667 0.2310 1
Mo1 Mo 0.3333 0.6667 0.4697 1
Mo2 Mo 0.6667 0.3333 0.2818 1
W1 W 0.3333 0.6667 0.0939 1
W2 W 0.6667 0.3333 0.6575 1
Se1 Se 0.3333 0.6667 0.7024 1
Se2 Se 0.3333 0.6667 0.6126 1
S1 S 0.6667 0.3333 0.0531 1
S2 S 0.6667 0.3333 0.4291 1
S3 S 0.6667 0.3333 0.1346 1
S4 S 0.6667 0.3333 0.5102 1
# * formation energy from the elements: -0.7437 eV per atom
# * energy relative to the lowest polymorph listed for this composition: 16 meV per atom
# * V: 356 Å³/cell
# * SG: No. 156

***

# Y2MgSe4, optimized geometry, DFT GGA-PBE
data_Y2MgSe4
_space_group_name_H-M_alt 'P 1'
_space_group_IT_number 1
_space_group_name_Hall 'P 1'
_cell_length_a 7.4877
_cell_length_b 8.6779
_cell_length_c 13.8705
_cell_angle_alpha 99.17
_cell_angle_beta 95.40
_cell_angle_gamma 89.98
loop_
_atom_site_label
_atom_site_type_symbol
_atom_site_fract_x
_atom_site_fract_y
_atom_site_fract_z
_atom_site_occupancy
Y1 Y 0.8638 0.3004 0.6995 1
Y2 Y 0.1362 0.6996 0.3005 1
Y3 Y 0.7587 0.1260 0.0006 1
Y4 Y 0.2413 0.8740 0.9994 1
Y5 Y 0.6315 0.4442 0.2992 1
Y6 Y 0.3685 0.5558 0.7008 1
Y7 Y 0.6322 0.9557 0.3024 1
Y8 Y 0.3678 0.0443 0.6976 1
Mg1 Mg 0.8671 0.8005 0.7022 1
Mg2 Mg 0.1329 0.1995 0.2978 1
Mg3 Mg 0.7513 0.6234 0.9969 1
Mg4 Mg 0.2487 0.3766 0.0031 1
Se1 Se 0.9056 0.3553 0.8978 1
Se2 Se 0.0944 0.6447 0.1022 1
Se3 Se 0.8925 0.8431 0.8908 1
Se4 Se 0.1075 0.1569 0.1092 1
Se5 Se 0.8286 0.2192 0.3749 1
Se6 Se 0.1714 0.7808 0.6251 1
Se7 Se 0.8107 0.7190 0.3778 1
Se8 Se 0.1893 0.2810 0.6222 1
Se9 Se 0.6955 0.0207 0.6256 1
Se10 Se 0.3045 0.9793 0.3744 1
Se11 Se 0.6940 0.5423 0.6263 1
Se12 Se 0.3060 0.4577 0.3737 1
Se13 Se 0.6050 0.8955 0.1036 1
Se14 Se 0.3950 0.1045 0.8964 1
Se15 Se 0.5959 0.4069 0.1012 1
Se16 Se 0.4041 0.5931 0.8988 1
# * formation energy from the elements: -1.7824 eV per atom
# * energy relative to the lowest polymorph listed for this composition: 189 meV per atom
# * V: 886 Å³/cell
# * SG: No. 2